! Li5Ni9P7, optimized geometry, DFT PBE; values from VASP
! formation energy	-0.6368	eV per atom
! theoretical density	5.05	Mg/m³
&SYSTEM
  ibrav = 0, nat = 21, ntyp = 3
/
ATOMIC_SPECIES
Li 6.94 Li.upf
Ni 58.69 Ni.upf
P 30.97 P.upf
CELL_PARAMETERS angstrom
9.0567 0.0000 0.0000
-4.5284 7.8434 0.0000
0.0000 0.0000 3.6087
ATOMIC_POSITIONS crystal
Li 0.0000 0.0000 0.0000
Li 0.2127 0.4484 0.0000
Li 0.2356 0.7873 0.0000
Li 0.5516 0.7644 0.0000
Li 0.6667 0.3333 0.5000
Ni 0.0484 0.5474 0.5000
Ni 0.2765 0.0407 0.5000
Ni 0.3816 0.2783 0.0000
Ni 0.4526 0.5011 0.5000
Ni 0.4989 0.9516 0.5000
Ni 0.7217 0.1033 0.0000
Ni 0.7642 0.7235 0.5000
Ni 0.8967 0.6184 0.0000
Ni 0.9593 0.2358 0.5000
P 0.0343 0.7891 0.5000
P 0.2109 0.2452 0.5000
P 0.3333 0.6667 0.5000
P 0.4600 0.0831 0.0000
P 0.6230 0.5400 0.0000
P 0.7548 0.9657 0.5000
P 0.9169 0.3770 0.0000

! LiNi2P2, optimized geometry, DFT PBE; values from VASP
! formation energy	-0.6020	eV per atom
! theoretical density	4.76	Mg/m³
&SYSTEM
  ibrav = 0, nat = 5, ntyp = 3
/
ATOMIC_SPECIES
Li 6.94 Li.upf
Ni 58.69 Ni.upf
P 30.97 P.upf
CELL_PARAMETERS angstrom
-1.8852 1.8852 4.5728
1.8852 -1.8852 4.5728
1.8852 1.8852 -4.5728
ATOMIC_POSITIONS crystal
Li 0.0000 0.0000 0.0000
Ni 0.2500 0.7500 0.5000
Ni 0.7500 0.2500 0.5000
P 0.3817 0.3817 0.0000
P 0.6183 0.6183 0.0000

! Li2NiP2S6, optimized geometry, DFT PBE; values from VASP
! formation energy	-0.8323	eV per atom
! theoretical density	2.49	Mg/m³
&SYSTEM
  ibrav = 0, nat = 11, ntyp = 4
/
ATOMIC_SPECIES
Li 6.94 Li.upf
Ni 58.69 Ni.upf
P 30.97 P.upf
S 32.06 S.upf
CELL_PARAMETERS angstrom
5.9875 0.0000 0.0000
2.9912 5.1925 0.0000
1.9835 -0.0399 7.0185
ATOMIC_POSITIONS crystal
Li 0.0000 0.0000 0.0000
Li 0.0941 0.6627 0.4924
Ni 0.7663 0.3275 0.4924
P 0.3880 0.9972 0.6386
P 0.4894 0.9938 0.3263
S 0.0192 0.3111 0.7173
S 0.1568 0.0178 0.2774
S 0.3793 0.6622 0.7159
S 0.5414 0.3078 0.2525
S 0.6824 0.0215 0.7069
S 0.8266 0.6534 0.2551

! LiNiP2S6, optimized geometry, DFT PBE; values from VASP
! formation energy	-0.6898	eV per atom
! theoretical density	2.64	Mg/m³
&SYSTEM
  ibrav = 0, nat = 10, ntyp = 4
/
ATOMIC_SPECIES
Li 6.94 Li.upf
Ni 58.69 Ni.upf
P 30.97 P.upf
S 32.06 S.upf
CELL_PARAMETERS angstrom
2.9326 -5.1148 0.0000
2.9326 5.1148 0.0000
-1.8479 0.0000 6.7141
ATOMIC_POSITIONS crystal
Li 0.0000 0.0000 0.0000
Ni 0.6682 0.3318 0.0000
P 0.2803 0.6124 0.8378
P 0.3876 0.7197 0.1622
S 0.0565 0.4227 0.2357
S 0.2887 0.2705 0.7639
S 0.4408 0.0958 0.2293
S 0.5773 0.9435 0.7643
S 0.7295 0.7113 0.2361
S 0.9042 0.5592 0.7707

! LiNiS2, optimized geometry, DFT PBE; values from VASP
! formation energy	-0.8723	eV per atom
! theoretical density	3.68	Mg/m³
&SYSTEM
  ibrav = 0, nat = 8, ntyp = 3
/
ATOMIC_SPECIES
Li 6.94 Li.upf
Ni 58.69 Ni.upf
S 32.06 S.upf
CELL_PARAMETERS angstrom
5.7588 0.0000 0.0000
0.0000 3.4256 0.0000
-0.0083 0.0000 5.9340
ATOMIC_POSITIONS crystal
Li 0.0000 0.2421 0.2500
Li 0.0000 0.7579 0.7500
Ni 0.5000 0.2462 0.2500
Ni 0.5000 0.7538 0.7500
S 0.2887 0.2533 0.5813
S 0.2887 0.7467 0.0813
S 0.7113 0.2533 0.9187
S 0.7113 0.7467 0.4187

! Li2Ni2S3, optimized geometry, DFT PBE; values from VASP
! formation energy	-0.9055	eV per atom
! theoretical density	3.43	Mg/m³
&SYSTEM
  ibrav = 0, nat = 28, ntyp = 3
/
ATOMIC_SPECIES
Li 6.94 Li.upf
Ni 58.69 Ni.upf
S 32.06 S.upf
CELL_PARAMETERS angstrom
6.5331 -5.9535 0.0000
6.5331 5.9535 0.0000
-3.0047 0.0000 5.6620
ATOMIC_POSITIONS crystal
Li 0.0630 0.9370 0.7500
Li 0.2202 0.7798 0.2500
Li 0.2967 0.4594 0.9222
Li 0.4594 0.2967 0.4222
Li 0.5406 0.7033 0.5778
Li 0.7033 0.5406 0.0778
Li 0.7798 0.2202 0.7500
Li 0.9370 0.0630 0.2500
Ni 0.0613 0.5771 0.3969
Ni 0.1152 0.2829 0.1081
Ni 0.2829 0.1152 0.6081
Ni 0.4229 0.9387 0.1031
Ni 0.5771 0.0613 0.8969
Ni 0.7171 0.8848 0.3919
Ni 0.8848 0.7171 0.8919
Ni 0.9387 0.4229 0.6031
S 0.0783 0.2280 0.7297
S 0.0918 0.6469 0.7744
S 0.2280 0.0783 0.2297
S 0.2806 0.5031 0.3124
S 0.3531 0.9082 0.7256
S 0.4969 0.7194 0.1876
S 0.5031 0.2806 0.8124
S 0.6469 0.0918 0.2744
S 0.7194 0.4969 0.6876
S 0.7720 0.9217 0.7703
S 0.9082 0.3531 0.2256
S 0.9217 0.7720 0.2703

Which value of formation energy does entry 5 give?
-0.8723 eV per atom